(1)
H8WS4N2 | PBE | optimized geometry

Results
* symmetry: Pnma (62)
* energy of formation: -8.9 eV per formula unit
* total energy: -0.1948 hartree per atom
* ρ: 2.661 g/cm3

a = 7.126 Å, b = 9.783 Å, c = 12.469 Å
α = 90.00°, β = 90.00°, γ = 90.00°
Element x y z (fractional)
H1 0.750 0.991 0.239
H2 0.750 0.491 0.261
H3 0.250 0.009 0.761
H4 0.250 0.509 0.739
H5 0.750 0.031 0.108
H6 0.750 0.531 0.392
H7 0.250 0.969 0.892
H8 0.250 0.469 0.608
H9 0.632 0.890 0.152
H10 0.868 0.390 0.348
H11 0.132 0.110 0.848
H12 0.368 0.610 0.652
H13 0.368 0.110 0.848
H14 0.132 0.610 0.652
H15 0.868 0.890 0.152
H16 0.632 0.390 0.348
H17 0.750 0.745 0.834
H18 0.750 0.245 0.666
H19 0.250 0.255 0.166
H20 0.250 0.755 0.334
H21 0.750 0.573 0.847
H22 0.750 0.073 0.653
H23 0.250 0.427 0.153
H24 0.250 0.927 0.347
H25 0.631 0.670 0.935
H26 0.869 0.170 0.565
H27 0.131 0.330 0.065
H28 0.369 0.830 0.435
H29 0.369 0.330 0.065
H30 0.131 0.830 0.435
H31 0.869 0.670 0.935
H32 0.631 0.170 0.565
W1 0.750 0.252 0.928
W2 0.750 0.752 0.572
W3 0.250 0.748 0.072
W4 0.250 0.248 0.428
S1 0.750 0.032 0.890
S2 0.750 0.532 0.610
S3 0.250 0.968 0.110
S4 0.250 0.468 0.390
S5 0.750 0.282 0.104
S6 0.750 0.782 0.396
S7 0.250 0.718 0.896
S8 0.250 0.218 0.604
S9 0.499 0.350 0.860
S10 0.001 0.850 0.640
S11 0.999 0.650 0.140
S12 0.501 0.150 0.360
S13 0.501 0.650 0.140
S14 0.999 0.150 0.360
S15 0.001 0.350 0.860
S16 0.499 0.850 0.640
N1 0.750 0.951 0.162
N2 0.750 0.451 0.338
N3 0.250 0.049 0.838
N4 0.250 0.549 0.662
N5 0.750 0.665 0.888
N6 0.750 0.165 0.612
N7 0.250 0.335 0.112
N8 0.250 0.835 0.388

(2)
Co2Ge3S3 | PBE | optimized geometry

Results
* symmetry: R-3 (148)
* energy of formation: -4.9 eV per formula unit
* total energy: -0.2015 hartree per atom
* relative energy among the computed polymorphs: 0.00 kcal/mol of atoms
* ρ: 5.482 g/cm3

a = 8.059 Å, b = 8.059 Å, c = 8.059 Å
α = 89.92°, β = 89.92°, γ = 89.92°
Element x y z (fractional)
Co1 0.259 0.253 0.756
Co2 0.741 0.747 0.244
Co3 0.756 0.259 0.253
Co4 0.244 0.741 0.747
Co5 0.253 0.756 0.259
Co6 0.756 0.756 0.756
Co7 0.747 0.244 0.741
Co8 0.244 0.244 0.244
Ge1 0.998 0.334 0.848
Ge2 0.002 0.666 0.152
Ge3 0.500 0.165 0.349
Ge4 0.349 0.500 0.165
Ge5 0.165 0.349 0.500
Ge6 0.848 0.998 0.334
Ge7 0.500 0.835 0.651
Ge8 0.651 0.500 0.835
Ge9 0.666 0.152 0.002
Ge10 0.334 0.848 0.998
Ge11 0.152 0.002 0.666
Ge12 0.835 0.651 0.500
S1 0.997 0.654 0.852
S2 0.351 0.500 0.845
S3 0.346 0.148 0.003
S4 0.852 0.997 0.654
S5 0.654 0.852 0.997
S6 0.649 0.500 0.155
S7 0.155 0.649 0.500
S8 0.500 0.845 0.351
S9 0.500 0.155 0.649
S10 0.148 0.003 0.346
S11 0.845 0.351 0.500
S12 0.003 0.346 0.148

(3)
Y3Ga5O12 | PBE | optimized geometry

Results
* symmetry: Ia-3d (230)
* energy of formation: -59.2 eV per formula unit
* total energy: -0.2662 hartree per atom
* ρ: 5.583 g/cm3

a = 10.766 Å, b = 10.766 Å, c = 10.766 Å
α = 109.47°, β = 109.47°, γ = 109.47°
Element x y z (fractional)
Y1 0.875 0.750 0.625
Y2 0.875 0.625 0.250
Y3 0.625 0.875 0.750
Y4 0.250 0.875 0.625
Y5 0.750 0.625 0.875
Y6 0.625 0.250 0.875
Y7 0.125 0.250 0.375
Y8 0.125 0.375 0.750
Y9 0.375 0.125 0.250
Y10 0.750 0.125 0.375
Y11 0.250 0.375 0.125
Y12 0.375 0.750 0.125
Ga1 0.125 0.750 0.875
Ga2 0.875 0.250 0.125
Ga3 0.750 0.375 0.625
Ga4 0.125 0.875 0.250
Ga5 0.250 0.125 0.875
Ga6 0.375 0.625 0.750
Ga7 0.375 0.250 0.625
Ga8 0.875 0.125 0.750
Ga9 0.625 0.375 0.250
Ga10 0.750 0.875 0.125
Ga11 0.250 0.625 0.375
Ga12 0.625 0.750 0.375
Ga13 0.500 0.000 0.500
Ga14 0.000 0.500 0.000
Ga15 0.500 0.500 0.500
Ga16 0.000 0.000 0.500
Ga17 0.000 0.000 0.000
Ga18 0.000 0.500 0.500
Ga19 0.500 0.500 0.000
Ga20 0.500 0.000 0.000
O1 0.528 0.405 0.823
O2 0.823 0.528 0.405
O3 0.794 0.877 0.972
O4 0.418 0.095 0.623
O5 0.877 0.405 0.082
O6 0.677 0.082 0.706
O7 0.823 0.794 0.418
O8 0.405 0.823 0.528
O9 0.623 0.706 0.528
O10 0.418 0.823 0.794
O11 0.405 0.082 0.877
O12 0.095 0.972 0.677
O13 0.972 0.677 0.095
O14 0.794 0.418 0.823
O15 0.528 0.623 0.706
O16 0.706 0.528 0.623
O17 0.082 0.877 0.405
O18 0.972 0.794 0.877
O19 0.082 0.706 0.677
O20 0.377 0.294 0.472
O21 0.623 0.418 0.095
O22 0.095 0.623 0.418
O23 0.706 0.677 0.082
O24 0.677 0.095 0.972
O25 0.472 0.595 0.177
O26 0.177 0.472 0.595
O27 0.206 0.123 0.028
O28 0.582 0.905 0.377
O29 0.123 0.595 0.918
O30 0.323 0.918 0.294
O31 0.177 0.206 0.582
O32 0.595 0.177 0.472
O33 0.323 0.905 0.028
O34 0.294 0.323 0.918
O35 0.905 0.377 0.582
O36 0.123 0.028 0.206
O37 0.377 0.582 0.905
O38 0.918 0.294 0.323
O39 0.028 0.206 0.123
O40 0.918 0.123 0.595
O41 0.294 0.472 0.377
O42 0.472 0.377 0.294
O43 0.206 0.582 0.177
O44 0.028 0.323 0.905
O45 0.905 0.028 0.323
O46 0.595 0.918 0.123
O47 0.582 0.177 0.206
O48 0.877 0.972 0.794

(4)
BaSrHfSnO6 | PBE | optimized geometry

Results
* total magnetic moment: 0.00 μB/cell
* symmetry: F-43m (216)
* energy of formation: -32.0 eV per formula unit
* total energy: -0.2762 hartree per atom
* ρ: 7.130 g/cm3

a = 5.883 Å, b = 5.883 Å, c = 5.883 Å
α = 60.00°, β = 60.00°, γ = 60.00°
Element x y z (fractional)
Ba1 0.750 0.750 0.750
Sr1 0.250 0.250 0.250
Hf1 0.000 0.000 0.000
Sn1 0.500 0.500 0.500
O1 0.750 0.250 0.250
O2 0.250 0.750 0.750
O3 0.750 0.250 0.750
O4 0.250 0.750 0.250
O5 0.750 0.750 0.250
O6 0.250 0.250 0.750

(5)
SmH4C6O8 | PBE | optimized geometry

Results
* total magnetic moment: 0.00 μB/cell
* symmetry: P2_1/c (14)
* energy of formation: -26.2 eV per formula unit
* total energy: -0.2591 hartree per atom
* ρ: 2.816 g/cm3

a = 16.988 Å, b = 7.011 Å, c = 7.146 Å
α = 79.25°, β = 90.00°, γ = 90.00°
Element x y z (fractional)
Sm1 0.420 0.989 0.260
Sm2 0.580 0.011 0.740
Sm3 0.920 0.511 0.740
Sm4 0.080 0.489 0.260
H1 0.316 0.735 0.022
H2 0.684 0.265 0.978
H3 0.816 0.765 0.978
H4 0.184 0.235 0.022
H5 0.882 0.844 0.409
H6 0.118 0.156 0.591
H7 0.382 0.656 0.591
H8 0.618 0.344 0.409
H9 0.912 0.947 0.580
H10 0.088 0.053 0.420
H11 0.412 0.553 0.420
H12 0.588 0.447 0.580
H13 0.283 0.693 0.233
H14 0.717 0.307 0.767
H15 0.783 0.807 0.767
H16 0.217 0.193 0.233
C1 0.468 0.441 0.122
C2 0.532 0.559 0.878
C3 0.968 0.059 0.878
C4 0.032 0.941 0.122
C5 0.742 0.859 0.271
C6 0.258 0.141 0.729
C7 0.242 0.641 0.729
C8 0.758 0.359 0.271
C9 0.490 0.638 0.025
C10 0.510 0.362 0.975
C11 0.990 0.862 0.975
C12 0.010 0.138 0.025
C13 0.625 0.914 0.328
C14 0.375 0.086 0.672
C15 0.125 0.586 0.672
C16 0.875 0.414 0.328
C17 0.698 0.908 0.434
C18 0.302 0.092 0.566
C19 0.198 0.592 0.566
C20 0.802 0.408 0.434
C21 0.667 0.860 0.166
C22 0.333 0.140 0.834
C23 0.167 0.640 0.834
C24 0.833 0.360 0.166
O1 0.481 0.814 0.038
O2 0.519 0.186 0.962
O3 0.981 0.686 0.962
O4 0.019 0.314 0.038
O5 0.431 0.354 0.267
O6 0.569 0.646 0.733
O7 0.931 0.146 0.733
O8 0.069 0.854 0.267
O9 0.322 0.767 0.150
O10 0.678 0.233 0.850
O11 0.822 0.733 0.850
O12 0.178 0.267 0.150
O13 0.916 0.829 0.524
O14 0.084 0.171 0.476
O15 0.416 0.671 0.476
O16 0.584 0.329 0.524
O17 0.557 0.961 0.379
O18 0.443 0.039 0.621
O19 0.057 0.539 0.621
O20 0.943 0.461 0.379
O21 0.813 0.836 0.228
O22 0.187 0.164 0.772
O23 0.313 0.664 0.772
O24 0.687 0.336 0.228
O25 0.709 0.946 0.599
O26 0.291 0.054 0.401
O27 0.209 0.554 0.401
O28 0.791 0.446 0.599
O29 0.650 0.832 0.002
O30 0.350 0.168 0.998
O31 0.150 0.668 0.998
O32 0.850 0.332 0.002

(6)
Zn2P3O16 | PBE | optimized geometry

Results
* total magnetic moment: 15.02 μB/cell
* symmetry: P-1 (2)
* energy of formation: -27.7 eV per formula unit
* total energy: -0.2153 hartree per atom
* ρ: 1.863 g/cm3

a = 8.841 Å, b = 10.350 Å, c = 10.594 Å
α = 96.24°, β = 101.42°, γ = 113.10°
Element x y z (fractional)
Zn1 0.000 0.000 0.000
Zn2 0.500 0.500 0.500
Zn3 0.235 0.518 0.949
Zn4 0.765 0.482 0.051
P1 0.516 0.552 0.203
P2 0.484 0.448 0.797
P3 0.269 0.278 0.233
P4 0.731 0.722 0.767
P5 0.961 0.289 0.078
P6 0.039 0.711 0.922
O1 0.415 0.614 0.114
O2 0.585 0.386 0.886
O3 0.532 0.602 0.347
O4 0.468 0.398 0.653
O5 0.311 0.423 0.822
O6 0.689 0.577 0.178
O7 0.405 0.376 0.162
O8 0.595 0.624 0.838
O9 0.207 0.125 0.163
O10 0.793 0.875 0.837
O11 0.346 0.313 0.380
O12 0.654 0.687 0.620
O13 0.116 0.330 0.210
O14 0.884 0.670 0.790
O15 0.036 0.357 0.971
O16 0.964 0.643 0.029
O17 0.839 0.343 0.122
O18 0.161 0.657 0.878
O19 0.874 0.124 0.033
O20 0.126 0.876 0.967
O21 0.755 0.437 0.470
O22 0.245 0.563 0.530
O23 0.138 0.093 0.875
O24 0.862 0.907 0.125
O25 0.919 0.299 0.640
O26 0.081 0.701 0.360
O27 0.465 0.040 0.002
O28 0.535 0.960 0.998
O29 0.738 0.341 0.381
O30 0.262 0.659 0.619
O31 0.010 0.287 0.571
O32 0.990 0.713 0.429

total energy of number 4 (BaSrHfSnO6)? -0.2762 hartree per atom

Repeat the fourth record exactly.
BaSrHfSnO6 | PBE | optimized geometry

Results
* total magnetic moment: 0.00 μB/cell
* symmetry: F-43m (216)
* energy of formation: -32.0 eV per formula unit
* total energy: -0.2762 hartree per atom
* ρ: 7.130 g/cm3

a = 5.883 Å, b = 5.883 Å, c = 5.883 Å
α = 60.00°, β = 60.00°, γ = 60.00°
Element x y z (fractional)
Ba1 0.750 0.750 0.750
Sr1 0.250 0.250 0.250
Hf1 0.000 0.000 0.000
Sn1 0.500 0.500 0.500
O1 0.750 0.250 0.250
O2 0.250 0.750 0.750
O3 0.750 0.250 0.750
O4 0.250 0.750 0.250
O5 0.750 0.750 0.250
O6 0.250 0.250 0.750

Number 5 is which compound? SmH4C6O8

Which value of ρ does entry 3 give? 5.583 g/cm3